# CaAs2H4O8 | the Materials Project | PBE | relaxed
data_CaAs2H4O8
_chemical_formula_sum 'Ca2 As4 H8 O16'
_space_group_name_H-M_alt 'P 1'
_space_group_IT_number 1
_cell_length_a 5.775
_cell_length_b 7.945
_cell_length_c 8.756
_cell_angle_alpha 111.40
_cell_angle_beta 109.15
_cell_angle_gamma 92.84
loop_
_space_group_symop_operation_xyz
'x,y,z'
loop_
_atom_site_label
_atom_site_type_symbol
_atom_site_fract_x
_atom_site_fract_y
_atom_site_fract_z
_atom_site_occupancy
Ca1 Ca 0.191 0.315 0.418 1
Ca2 Ca 0.809 0.685 0.582 1
As1 As 0.172 0.730 0.316 1
As2 As 0.478 0.741 0.843 1
As3 As 0.522 0.259 0.157 1
As4 As 0.828 0.270 0.684 1
H1 H 0.000 0.500 0.000 1
H2 H 0.149 0.128 0.772 1
H3 H 0.230 0.983 0.002 1
H4 H 0.415 0.679 0.068 1
H5 H 0.500 0.000 0.500 1
H6 H 0.585 0.321 0.932 1
H7 H 0.770 0.017 0.998 1
H8 H 0.851 0.872 0.228 1
O1 O 0.021 0.920 0.322 1
O2 O 0.029 0.592 0.380 1
O3 O 0.171 0.626 0.106 1
O4 O 0.207 0.821 0.815 1
O5 O 0.270 0.095 0.118 1
O6 O 0.431 0.287 0.955 1
O7 O 0.473 0.835 0.459 1
O8 O 0.499 0.564 0.671 1
O9 O 0.501 0.436 0.329 1
O10 O 0.527 0.165 0.541 1
O11 O 0.569 0.713 0.045 1
O12 O 0.730 0.905 0.882 1
O13 O 0.793 0.179 0.185 1
O14 O 0.829 0.374 0.894 1
O15 O 0.971 0.408 0.620 1
O16 O 0.979 0.080 0.678 1
# M_tot ... 0.00 μB/cell
# Energy of formation from the pure elements ... -2621 kJ/mol of formula units

***

# CeAl8Cu4 | the Materials Project | PBE | relaxed
data_CeAl8Cu4
_chemical_formula_sum 'Ce1 Al8 Cu4'
_space_group_name_H-M_alt 'P 1'
_space_group_IT_number 1
_cell_length_a 6.782
_cell_length_b 6.782
_cell_length_c 6.782
_cell_angle_alpha 98.22
_cell_angle_beta 98.22
_cell_angle_gamma 135.56
loop_
_space_group_symop_operation_xyz
'x,y,z'
loop_
_atom_site_label
_atom_site_type_symbol
_atom_site_fract_x
_atom_site_fract_y
_atom_site_fract_z
_atom_site_occupancy
Ce1 Ce 0.000 0.000 0.000 1
Al1 Al 0.000 0.348 0.348 1
Al2 Al 0.000 0.652 0.652 1
Al3 Al 0.280 0.500 0.780 1
Al4 Al 0.348 0.000 0.348 1
Al5 Al 0.500 0.280 0.780 1
Al6 Al 0.500 0.720 0.220 1
Al7 Al 0.652 0.000 0.652 1
Al8 Al 0.720 0.500 0.220 1
Cu1 Cu 0.000 0.000 0.500 1
Cu2 Cu 0.000 0.500 0.000 1
Cu3 Cu 0.500 0.000 0.000 1
Cu4 Cu 0.500 0.500 0.500 1
# Energy of formation from the pure elements ... -385 kJ/mol of formula units